The following is a r2SCAN calculation of a relaxed structure of Nd3Sb5Pd6, from the Materials Project.

Geometry as POSCAR:
```
Nd3Sb5Pd6
1.0
-0.053 0.615 4.406
1.501 -9.989 1.412
13.317 1.984 -0.117
Sb Pd Nd
10 12 6
direct
0.500 0.165 0.500 Sb
0.500 0.479 0.628 Sb
0.000 0.521 0.872 Sb
0.000 0.521 0.128 Sb
0.500 0.479 0.372 Sb
0.500 0.137 0.164 Sb
0.000 0.835 0.000 Sb
0.000 0.863 0.664 Sb
0.000 0.863 0.336 Sb
0.500 0.137 0.836 Sb
0.000 0.992 0.161 Pd
0.500 0.008 0.661 Pd
0.500 0.008 0.339 Pd
0.000 0.607 0.681 Pd
0.500 0.393 0.181 Pd
0.000 0.607 0.319 Pd
0.500 0.393 0.819 Pd
0.000 0.992 0.839 Pd
0.500 0.523 0.000 Pd
0.000 0.477 0.500 Pd
0.500 0.986 0.000 Pd
0.000 0.014 0.500 Pd
0.000 0.247 0.674 Nd
0.000 0.243 0.000 Nd
0.500 0.757 0.500 Nd
0.000 0.247 0.326 Nd
0.500 0.753 0.174 Nd
0.500 0.753 0.826 Nd
```

- total moment (μB per cell) = 0.0
- formation energy from the elements (eV/atom) = -0.95